# 1
The following is a meta-GGA r2SCAN calculation of Tb5Si2B8 after structural relaxation, from the Materials Project.

Structure (CIF):
```
data_Tb5Si2B8
_space_group_name_H-M_alt 'P 1'
_space_group_IT_number 1
_cell_length_a 7.2500
_cell_length_b 7.2500
_cell_length_c 8.1523
_cell_angle_alpha 90.00
_cell_angle_beta 90.00
_cell_angle_gamma 90.00
loop_
_space_group_symop_operation_xyz
'x,y,z'
loop_
_atom_site_label
_atom_site_type_symbol
_atom_site_fract_x
_atom_site_fract_y
_atom_site_fract_z
Tb1 Tb 0.0000 0.0000 0.0000
Tb2 Tb 0.1808 0.3192 0.2762
Tb3 Tb 0.1808 0.3192 0.7238
Tb4 Tb 0.3192 0.8192 0.2762
Tb5 Tb 0.3192 0.8192 0.7238
Tb6 Tb 0.5000 0.5000 0.0000
Tb7 Tb 0.6808 0.1808 0.2762
Tb8 Tb 0.6808 0.1808 0.7238
Tb9 Tb 0.8192 0.6808 0.2762
Tb10 Tb 0.8192 0.6808 0.7238
Si1 Si 0.1145 0.6145 0.0000
Si2 Si 0.3855 0.1145 0.0000
Si3 Si 0.6145 0.8855 0.0000
Si4 Si 0.8855 0.3855 0.0000
B1 B 0.0000 0.0000 0.3399
B2 B 0.0000 0.0000 0.6601
B3 B 0.0393 0.8282 0.5000
B4 B 0.0910 0.5910 0.5000
B5 B 0.1718 0.0393 0.5000
B6 B 0.3282 0.5393 0.5000
B7 B 0.4090 0.0910 0.5000
B8 B 0.4607 0.3282 0.5000
B9 B 0.5000 0.5000 0.3399
B10 B 0.5000 0.5000 0.6601
B11 B 0.5393 0.6718 0.5000
B12 B 0.5910 0.9090 0.5000
B13 B 0.6718 0.4607 0.5000
B14 B 0.8282 0.9607 0.5000
B15 B 0.9090 0.4090 0.5000
B16 B 0.9607 0.1718 0.5000
```

Values from the calculation:
As for the formation energy from the elements: -0.75 eV per atom. The magnetization comes out at 0.000 Bohr magnetons per cell.

# 2
The following is a meta-GGA r2SCAN calculation of Mg2Pb after structural relaxation, from the Materials Project.

Structure (CIF):
```
data_Mg2Pb
_space_group_name_H-M_alt 'P 1'
_space_group_IT_number 1
_cell_length_a 4.8282
_cell_length_b 4.8282
_cell_length_c 4.8282
_cell_angle_alpha 60.00
_cell_angle_beta 60.00
_cell_angle_gamma 60.00
loop_
_space_group_symop_operation_xyz
'x,y,z'
loop_
_atom_site_label
_atom_site_type_symbol
_atom_site_fract_x
_atom_site_fract_y
_atom_site_fract_z
Mg1 Mg 0.2500 0.2500 0.2500
Mg2 Mg 0.7500 0.7500 0.7500
Pb1 Pb 0.0000 0.0000 0.0000
```

Values from the calculation:
As for the formation energy from the elements: -0.17 eV per atom. The magnetization comes out at 0.000 Bohr magnetons per cell.

# 3
The following is a meta-GGA r2SCAN calculation of UTlO3 after structural relaxation, from the Materials Project.

Structure (CIF):
```
data_UTlO3
_space_group_name_H-M_alt 'P 1'
_space_group_IT_number 1
_cell_length_a 4.3253
_cell_length_b 4.3253
_cell_length_c 4.3253
_cell_angle_alpha 90.00
_cell_angle_beta 90.00
_cell_angle_gamma 90.00
loop_
_space_group_symop_operation_xyz
'x,y,z'
loop_
_atom_site_label
_atom_site_type_symbol
_atom_site_fract_x
_atom_site_fract_y
_atom_site_fract_z
U1 U 0.0000 0.0000 0.0000
Tl1 Tl 0.5000 0.5000 0.5000
O1 O 0.0000 0.0000 0.5000
O2 O 0.0000 0.5000 0.0000
O3 O 0.5000 0.0000 0.0000
```

Values from the calculation:
As for the formation energy from the elements: -2.82 eV per atom. The magnetization comes out at 1.000 Bohr magnetons per cell.

# 4
The following is a meta-GGA r2SCAN calculation of Ba3LiIr2O9 after structural relaxation, from the Materials Project.

Structure (CIF):
```
data_Ba3LiIr2O9
_space_group_name_H-M_alt 'P 1'
_space_group_IT_number 1
_cell_length_a 5.8124
_cell_length_b 5.8124
_cell_length_c 14.3764
_cell_angle_alpha 90.00
_cell_angle_beta 90.00
_cell_angle_gamma 120.00
loop_
_space_group_symop_operation_xyz
'x,y,z'
loop_
_atom_site_label
_atom_site_type_symbol
_atom_site_fract_x
_atom_site_fract_y
_atom_site_fract_z
Ba1 Ba 0.0000 0.0000 0.2500
Ba2 Ba 0.0000 0.0000 0.7500
Ba3 Ba 0.3333 0.6667 0.0854
Ba4 Ba 0.3333 0.6667 0.4146
Ba5 Ba 0.6667 0.3333 0.5854
Ba6 Ba 0.6667 0.3333 0.9146
Li1 Li 0.0000 0.0000 0.0000
Li2 Li 0.0000 0.0000 0.5000
Ir1 Ir 0.3333 0.6667 0.6542
Ir2 Ir 0.3333 0.6667 0.8458
Ir3 Ir 0.6667 0.3333 0.1542
Ir4 Ir 0.6667 0.3333 0.3458
O1 O 0.0309 0.5154 0.7500
O2 O 0.1730 0.3461 0.5842
O3 O 0.1730 0.3461 0.9158
O4 O 0.1730 0.8270 0.5842
O5 O 0.1730 0.8270 0.9158
O6 O 0.3461 0.1730 0.0842
O7 O 0.3461 0.1730 0.4158
O8 O 0.4846 0.5154 0.7500
O9 O 0.4846 0.9691 0.7500
O10 O 0.5154 0.0309 0.2500
O11 O 0.5154 0.4846 0.2500
O12 O 0.6539 0.8270 0.5842
O13 O 0.6539 0.8270 0.9158
O14 O 0.8270 0.1730 0.0842
O15 O 0.8270 0.1730 0.4158
O16 O 0.8270 0.6539 0.0842
O17 O 0.8270 0.6539 0.4158
O18 O 0.9691 0.4846 0.2500
```

Values from the calculation:
As for the formation energy from the elements: -1.96 eV per atom. The magnetization comes out at 9.998 Bohr magnetons per cell.

- Which of these has the lowest formation energy from the elements?
  UTlO3

Repeat the second record exactly.
The following is a meta-GGA r2SCAN calculation of Mg2Pb after structural relaxation, from the Materials Project.

Structure (CIF):
```
data_Mg2Pb
_space_group_name_H-M_alt 'P 1'
_space_group_IT_number 1
_cell_length_a 4.8282
_cell_length_b 4.8282
_cell_length_c 4.8282
_cell_angle_alpha 60.00
_cell_angle_beta 60.00
_cell_angle_gamma 60.00
loop_
_space_group_symop_operation_xyz
'x,y,z'
loop_
_atom_site_label
_atom_site_type_symbol
_atom_site_fract_x
_atom_site_fract_y
_atom_site_fract_z
Mg1 Mg 0.2500 0.2500 0.2500
Mg2 Mg 0.7500 0.7500 0.7500
Pb1 Pb 0.0000 0.0000 0.0000
```

Values from the calculation:
As for the formation energy from the elements: -0.17 eV per atom. The magnetization comes out at 0.000 Bohr magnetons per cell.

- Which value of magnetization does entry 2 give?
  0.000 Bohr magnetons per cell